1.
# Dy5Ge3B, optimized geometry, DFT PBE
# Formation energy from the elements = -5.77 eV/f.u.
data_Dy5Ge3B
_chemical_formula_sum 'Dy10 Ge6 B2'
_symmetry_space_group_name_H-M 'P 1'
_symmetry_Int_Tables_number 1
_symmetry_space_group_name_Hall 'P 1'
_cell_length_a 8.6405
_cell_length_b 8.6405
_cell_length_c 6.3707
_cell_angle_alpha 90.00
_cell_angle_beta 90.00
_cell_angle_gamma 120.00
loop_
_atom_site_label
_atom_site_fract_x
_atom_site_fract_y
_atom_site_fract_z
Ge1 0.6032 0.6032 0.7500
Ge2 0.3968 0.3968 0.2500
Ge3 0.6032 0.0000 0.2500
Ge4 0.0000 0.3968 0.7500
Ge5 0.3968 0.0000 0.7500
Ge6 0.0000 0.6032 0.2500
Dy1 0.2386 0.0000 0.2500
Dy2 0.3333 0.6667 0.5000
Dy3 0.0000 0.2386 0.2500
Dy4 0.3333 0.6667 0.0000
Dy5 0.7614 0.0000 0.7500
Dy6 0.0000 0.7614 0.7500
Dy7 0.6667 0.3333 0.5000
Dy8 0.2386 0.2386 0.7500
Dy9 0.7614 0.7614 0.2500
Dy10 0.6667 0.3333 0.0000
B1 0.0000 0.0000 0.5000
B2 0.0000 0.0000 0.0000

2.
# DyBH4, optimized geometry, DFT PBE
# Formation energy from the elements = -1.90 eV/f.u.
data_DyBH4
_chemical_formula_sum 'Dy3 B3 H12'
_symmetry_space_group_name_H-M 'P 1'
_symmetry_Int_Tables_number 1
_symmetry_space_group_name_Hall 'P 1'
_cell_length_a 4.0622
_cell_length_b 5.6841
_cell_length_c 6.9113
_cell_angle_alpha 114.28
_cell_angle_beta 107.10
_cell_angle_gamma 90.00
loop_
_atom_site_label
_atom_site_fract_x
_atom_site_fract_y
_atom_site_fract_z
H1 0.2519 0.9204 0.9998
H2 0.2430 0.1783 0.4859
H3 0.4194 0.3353 0.8385
H4 0.5899 0.5164 0.6720
H5 0.5807 0.4969 0.1615
H6 0.9096 0.0927 0.8192
H7 0.0825 0.5164 0.6719
H8 0.7480 0.9206 0.0001
H9 0.7570 0.6924 0.5141
H10 0.0904 0.2735 0.1808
H11 0.4102 0.8444 0.3280
H12 0.9176 0.8446 0.3281
B1 0.0000 0.0545 0.0000
B2 0.3347 0.3861 0.6691
B3 0.6654 0.7170 0.3309
Dy1 0.3354 0.8889 0.6714
Dy2 0.0001 0.5445 0.0000
Dy3 0.6645 0.2175 0.3286

3.
# DyB2Ir2, optimized geometry, DFT PBE
# Formation energy from the elements = -3.71 eV/f.u.
data_DyB2Ir2
_chemical_formula_sum 'Dy2 B4 Ir4'
_symmetry_space_group_name_H-M 'P 1'
_symmetry_Int_Tables_number 1
_symmetry_space_group_name_Hall 'P 1'
_cell_length_a 7.2073
_cell_length_b 6.2060
_cell_length_c 5.4761
_cell_angle_alpha 75.90
_cell_angle_beta 56.63
_cell_angle_gamma 47.47
loop_
_atom_site_label
_atom_site_fract_x
_atom_site_fract_y
_atom_site_fract_z
Ir1 0.8734 0.8734 0.1266
Ir2 0.1266 0.1266 0.8734
Ir3 0.1234 0.1234 0.3766
Ir4 0.3766 0.3766 0.1234
B1 0.1800 0.8200 0.1800
B2 0.0700 0.4300 0.0700
B3 0.4300 0.0700 0.4300
B4 0.8200 0.1800 0.8200
Dy1 0.5000 0.5000 0.5000
Dy2 0.7500 0.7500 0.7500

4.
# DyB2Ir2, optimized geometry, DFT PBE
# Formation energy from the elements = -2.06 eV/f.u.
data_DyB2Ir2
_chemical_formula_sum 'Dy4 B8 Ir8'
_symmetry_space_group_name_H-M 'P 1'
_symmetry_Int_Tables_number 1
_symmetry_space_group_name_Hall 'P 1'
_cell_length_a 6.4509
_cell_length_b 6.4509
_cell_length_c 8.2975
_cell_angle_alpha 112.82
_cell_angle_beta 112.82
_cell_angle_gamma 90.14
loop_
_atom_site_label
_atom_site_fract_x
_atom_site_fract_y
_atom_site_fract_z
Dy1 0.1250 0.8750 0.2500
Dy2 0.1250 0.8750 0.7500
Dy3 0.1250 0.3750 0.2500
Dy4 0.6250 0.8750 0.7500
Ir1 0.4901 0.2789 0.5594
Ir2 0.1806 0.4694 0.9406
Ir3 0.7599 0.4711 0.9406
Ir4 0.0694 0.2806 0.5594
Ir5 0.5289 0.2401 0.0594
Ir6 0.5306 0.8194 0.0594
Ir7 0.7194 0.9306 0.4406
Ir8 0.7211 0.5099 0.4406
B1 0.3909 0.5352 0.7801
B2 0.4648 0.6091 0.2199
B3 0.7852 0.1409 0.2801
B4 0.4949 0.1392 0.2801
B5 0.7551 0.6108 0.2199
B6 0.8591 0.2148 0.7199
B7 0.3892 0.2449 0.7801
B8 0.8608 0.5051 0.7199

5.
# DyB2Ir3, optimized geometry, DFT PBE
# Formation energy from the elements = -4.17 eV/f.u.
data_DyB2Ir3
_chemical_formula_sum 'Dy1 B2 Ir3'
_symmetry_space_group_name_H-M 'P 1'
_symmetry_Int_Tables_number 1
_symmetry_space_group_name_Hall 'P 1'
_cell_length_a 5.4649
_cell_length_b 5.4649
_cell_length_c 3.1608
_cell_angle_alpha 90.00
_cell_angle_beta 90.00
_cell_angle_gamma 120.00
loop_
_atom_site_label
_atom_site_fract_x
_atom_site_fract_y
_atom_site_fract_z
Ir1 0.5000 0.5000 0.0000
Ir2 0.0000 0.5000 0.0000
Ir3 0.5000 0.0000 0.0000
B1 0.6667 0.3333 0.5000
B2 0.3333 0.6667 0.5000
Dy1 0.0000 0.0000 0.5000

6.
# DyB4Ir2Rh2, optimized geometry, DFT PBE
# Formation energy from the elements = -5.03 eV/f.u.
data_DyB4Ir2Rh2
_chemical_formula_sum 'Dy2 B8 Ir4 Rh4'
_symmetry_space_group_name_H-M 'P 1'
_symmetry_Int_Tables_number 1
_symmetry_space_group_name_Hall 'P 1'
_cell_length_a 5.3802
_cell_length_b 5.3802
_cell_length_c 7.4731
_cell_angle_alpha 90.00
_cell_angle_beta 90.00
_cell_angle_gamma 90.00
loop_
_atom_site_label
_atom_site_fract_x
_atom_site_fract_y
_atom_site_fract_z
B1 0.0000 0.8297 0.0981
B2 0.6713 0.5000 0.4039
B3 0.5000 0.3287 0.9039
B4 0.3287 0.5000 0.4039
B5 0.0000 0.1703 0.0981
B6 0.8297 0.0000 0.5981
B7 0.1703 0.0000 0.5981
B8 0.5000 0.6713 0.9039
Rh1 0.0000 0.7494 0.3939
Rh2 0.7494 0.0000 0.8939
Rh3 0.0000 0.2506 0.3939
Rh4 0.2506 0.0000 0.8939
Ir1 0.5000 0.2480 0.6053
Ir2 0.5000 0.7520 0.6053
Ir3 0.7520 0.5000 0.1053
Ir4 0.2480 0.5000 0.1053
Dy1 0.5000 0.0000 0.2478
Dy2 0.0000 0.5000 0.7478

7.
# LiDy6B3O14, optimized geometry, DFT PBE
# Formation energy from the elements = -86.49 eV/f.u.
data_LiDy6B3O14
_chemical_formula_sum 'Li4 Dy24 B12 O56'
_symmetry_space_group_name_H-M 'P 1'
_symmetry_Int_Tables_number 1
_symmetry_space_group_name_Hall 'P 1'
_cell_length_a 15.5954
_cell_length_b 8.4193
_cell_length_c 12.0305
_cell_angle_alpha 47.54
_cell_angle_beta 90.00
_cell_angle_gamma 90.00
loop_
_atom_site_label
_atom_site_fract_x
_atom_site_fract_y
_atom_site_fract_z
O1 0.0856 0.1466 0.8819
O2 0.4485 0.8222 0.7214
O3 0.5895 0.5273 0.9639
O4 0.4125 0.4752 0.4908
O5 0.8935 0.9478 0.7007
O6 0.2486 0.1174 0.8224
O7 0.7046 0.6414 0.5761
O8 0.2252 0.9462 0.2283
O9 0.0792 0.9348 0.7208
O10 0.0855 0.7138 0.6239
O11 0.9485 0.1778 0.7786
O12 0.9018 0.7020 0.6055
O13 0.7514 0.8826 0.1776
O14 0.4208 0.9348 0.2208
O15 0.7748 0.0538 0.7717
O16 0.9125 0.5248 0.0092
O17 0.5515 0.1778 0.2786
O18 0.7318 0.2763 0.3780
O19 0.9667 0.3035 0.9063
O20 0.0515 0.8222 0.2214
O21 0.4105 0.4727 0.0361
O22 0.2046 0.3586 0.9239
O23 0.5875 0.5248 0.5092
O24 0.5333 0.3035 0.4063
O25 0.4145 0.7138 0.1239
O26 0.0982 0.2980 0.3945
O27 0.2954 0.3586 0.4239
O28 0.7325 0.4471 0.5033
O29 0.5982 0.7020 0.1055
O30 0.2514 0.1174 0.3224
O31 0.4018 0.2980 0.8945
O32 0.7486 0.8826 0.6776
O33 0.4667 0.6965 0.5937
O34 0.7682 0.2763 0.8780
O35 0.2682 0.7237 0.6220
O36 0.9105 0.5273 0.4639
O37 0.7954 0.6414 0.0761
O38 0.0895 0.4727 0.5361
O39 0.6065 0.9478 0.2007
O40 0.0333 0.6965 0.0937
O41 0.4144 0.1466 0.3819
O42 0.2318 0.7237 0.1220
O43 0.7252 0.0538 0.2717
O44 0.2748 0.9462 0.7283
O45 0.0875 0.4752 0.9908
O46 0.2675 0.5529 0.4967
O47 0.5792 0.0652 0.7792
O48 0.5856 0.8534 0.6181
O49 0.9145 0.2862 0.3761
O50 0.5855 0.2862 0.8761
O51 0.1065 0.0522 0.2993
O52 0.2325 0.5529 0.9967
O53 0.7675 0.4471 0.0033
O54 0.9144 0.8534 0.1181
O55 0.9208 0.0652 0.2792
O56 0.3935 0.0522 0.7993
Dy1 0.1743 0.9848 0.5551
Dy2 0.5040 0.2386 0.0614
Dy3 0.0040 0.7614 0.4386
Dy4 0.5134 0.6656 0.2826
Dy5 0.3221 0.4493 0.1931
Dy6 0.8221 0.5507 0.3069
Dy7 0.6659 0.4123 0.1659
Dy8 0.1659 0.5877 0.3341
Dy9 0.3341 0.5877 0.8341
Dy10 0.3257 0.9848 0.0551
Dy11 0.6779 0.5507 0.8069
Dy12 0.4866 0.3344 0.7174
Dy13 0.1439 0.8483 0.9244
Dy14 0.8257 0.0152 0.4449
Dy15 0.9866 0.6656 0.7826
Dy16 0.3561 0.8483 0.4244
Dy17 0.0134 0.3344 0.2174
Dy18 0.9960 0.2386 0.5614
Dy19 0.8341 0.4123 0.6659
Dy20 0.6743 0.0152 0.9449
Dy21 0.8561 0.1517 0.0756
Dy22 0.6439 0.1517 0.5756
Dy23 0.4960 0.7614 0.9386
Dy24 0.1779 0.4493 0.6931
Li1 0.1039 0.1199 0.0604
Li2 0.8961 0.8801 0.9396
Li3 0.6039 0.8801 0.4396
Li4 0.3961 0.1199 0.5604
B1 0.9993 0.7911 0.1449
B2 0.3270 0.4559 0.4729
B3 0.1932 0.0417 0.2784
B4 0.6932 0.9583 0.2216
B5 0.1730 0.4559 0.9729
B6 0.3068 0.0417 0.7784
B7 0.0007 0.2089 0.8551
B8 0.5007 0.7911 0.6449
B9 0.4993 0.2089 0.3551
B10 0.6730 0.5441 0.5271
B11 0.8270 0.5441 0.0271
B12 0.8068 0.9583 0.7216

8.
# Dy3MnB7, optimized geometry, DFT PBE
# Formation energy from the elements = -6.65 eV/f.u.
data_Dy3MnB7
_chemical_formula_sum 'Dy6 Mn2 B14'
_symmetry_space_group_name_H-M 'P 1'
_symmetry_Int_Tables_number 1
_symmetry_space_group_name_Hall 'P 1'
_cell_length_a 8.0650
_cell_length_b 8.0650
_cell_length_c 9.2977
_cell_angle_alpha 90.00
_cell_angle_beta 90.00
_cell_angle_gamma 155.36
loop_
_atom_site_label
_atom_site_fract_x
_atom_site_fract_y
_atom_site_fract_z
Dy1 0.8960 0.1040 0.5605
Dy2 0.1040 0.8960 0.4395
Dy3 0.8960 0.1040 0.9395
Dy4 0.2399 0.7601 0.7500
Dy5 0.1040 0.8960 0.0605
Dy6 0.7601 0.2399 0.2500
B1 0.6298 0.3702 0.6530
B2 0.4606 0.5394 0.7500
B3 0.5218 0.4782 0.5983
B4 0.4782 0.5218 0.4017
B5 0.5218 0.4782 0.9017
B6 0.4782 0.5218 0.0983
B7 0.5394 0.4606 0.2500
B8 0.6298 0.3702 0.8470
B9 0.7273 0.2727 0.9676
B10 0.3702 0.6298 0.3470
B11 0.7273 0.2727 0.5324
B12 0.3702 0.6298 0.1530
B13 0.2727 0.7273 0.4676
B14 0.2727 0.7273 0.0324
Mn1 0.0537 0.9463 0.7500
Mn2 0.9463 0.0537 0.2500

9.
# DyB4Mo, optimized geometry, DFT PBE
# Formation energy from the elements = -3.77 eV/f.u.
data_DyB4Mo
_chemical_formula_sum 'Dy4 B16 Mo4'
_symmetry_space_group_name_H-M 'P 1'
_symmetry_Int_Tables_number 1
_symmetry_space_group_name_Hall 'P 1'
_cell_length_a 3.6250
_cell_length_b 6.0299
_cell_length_c 11.6537
_cell_angle_alpha 90.00
_cell_angle_beta 90.00
_cell_angle_gamma 90.00
loop_
_atom_site_label
_atom_site_fract_x
_atom_site_fract_y
_atom_site_fract_z
B1 0.5000 0.3859 0.0475
B2 0.5000 0.5233 0.8064
B3 0.5000 0.4767 0.1936
B4 0.5000 0.8669 0.0319
B5 0.5000 0.3669 0.4681
B6 0.5000 0.0233 0.6936
B7 0.5000 0.7873 0.1863
B8 0.5000 0.6331 0.5319
B9 0.5000 0.8859 0.4525
B10 0.5000 0.2127 0.8137
B11 0.5000 0.1141 0.5475
B12 0.5000 0.9767 0.3064
B13 0.5000 0.2873 0.3137
B14 0.5000 0.1331 0.9681
B15 0.5000 0.7127 0.6863
B16 0.5000 0.6141 0.9525
Dy1 0.0000 0.6270 0.3501
Dy2 0.0000 0.1270 0.1499
Dy3 0.0000 0.8730 0.8501
Dy4 0.0000 0.3730 0.6499
Mo1 0.0000 0.1300 0.4162
Mo2 0.0000 0.8700 0.5838
Mo3 0.0000 0.6300 0.0838
Mo4 0.0000 0.3700 0.9162

10.
# DyB7Mo3, optimized geometry, DFT PBE
# Formation energy from the elements = -6.17 eV/f.u.
data_DyB7Mo3
_chemical_formula_sum 'Dy4 B28 Mo12'
_symmetry_space_group_name_H-M 'P 1'
_symmetry_Int_Tables_number 1
_symmetry_space_group_name_Hall 'P 1'
_cell_length_a 3.1099
_cell_length_b 11.0215
_cell_length_c 12.9103
_cell_angle_alpha 90.00
_cell_angle_beta 90.00
_cell_angle_gamma 90.00
loop_
_atom_site_label
_atom_site_fract_x
_atom_site_fract_y
_atom_site_fract_z
Mo1 0.7500 0.6177 0.0269
Mo2 0.2500 0.8404 0.0639
Mo3 0.2500 0.8823 0.5269
Mo4 0.2500 0.8152 0.2982
Mo5 0.7500 0.6596 0.5639
Mo6 0.2500 0.3404 0.4361
Mo7 0.2500 0.3823 0.9731
Mo8 0.7500 0.6848 0.7982
Mo9 0.2500 0.3152 0.2018
Mo10 0.7500 0.1848 0.7018
Mo11 0.7500 0.1596 0.9361
Mo12 0.7500 0.1177 0.4731
B1 0.7500 0.8339 0.6671
B2 0.2500 0.0678 0.6161
B3 0.7500 0.2696 0.0819
B4 0.7500 0.2506 0.3265
B5 0.2500 0.6661 0.1671
B6 0.7500 0.8130 0.9334
B7 0.7500 0.3130 0.5666
B8 0.7500 0.7696 0.4181
B9 0.7500 0.3339 0.8329
B10 0.7500 0.9895 0.6375
B11 0.2500 0.7304 0.9181
B12 0.7500 0.9322 0.3839
B13 0.2500 0.6870 0.4334
B14 0.2500 0.7494 0.6735
B15 0.7500 0.4322 0.1161
B16 0.2500 0.2304 0.5819
B17 0.7500 0.4895 0.8625
B18 0.2500 0.0105 0.3625
B19 0.2500 0.1870 0.0666
B20 0.2500 0.0373 0.0180
B21 0.7500 0.9627 0.9820
B22 0.2500 0.5105 0.1375
B23 0.7500 0.7506 0.1735
B24 0.7500 0.4627 0.5180
B25 0.2500 0.5373 0.4820
B26 0.2500 0.1661 0.3329
B27 0.2500 0.2494 0.8265
B28 0.2500 0.5678 0.8839
Dy1 0.2500 0.9489 0.8081
Dy2 0.7500 0.5511 0.3081
Dy3 0.2500 0.4489 0.6919
Dy4 0.7500 0.0511 0.1919

11.
# DyB3Mo, optimized geometry, DFT PBE
# Formation energy from the elements = -3.08 eV/f.u.
data_DyB3Mo
_chemical_formula_sum 'Dy2 B6 Mo2'
_symmetry_space_group_name_H-M 'P 1'
_symmetry_Int_Tables_number 1
_symmetry_space_group_name_Hall 'P 1'
_cell_length_a 3.1745
_cell_length_b 5.4569
_cell_length_c 6.8456
_cell_angle_alpha 77.86
_cell_angle_beta 90.00
_cell_angle_gamma 90.00
loop_
_atom_site_label
_atom_site_fract_x
_atom_site_fract_y
_atom_site_fract_z
B1 0.2500 0.9204 0.5243
B2 0.7500 0.0796 0.4757
B3 0.2500 0.5836 0.0064
B4 0.2500 0.9124 0.0043
B5 0.7500 0.4164 0.9936
B6 0.7500 0.0876 0.9957
Dy1 0.7500 0.6763 0.2906
Dy2 0.2500 0.3237 0.7094
Mo1 0.2500 0.1879 0.2198
Mo2 0.7500 0.8121 0.7802

12.
# Dy3B7Mo, optimized geometry, DFT PBE
# Formation energy from the elements = -6.47 eV/f.u.
data_Dy3B7Mo
_chemical_formula_sum 'Dy6 B14 Mo2'
_symmetry_space_group_name_H-M 'P 1'
_symmetry_Int_Tables_number 1
_symmetry_space_group_name_Hall 'P 1'
_cell_length_a 8.1885
_cell_length_b 8.1885
_cell_length_c 9.4784
_cell_angle_alpha 90.00
_cell_angle_beta 90.00
_cell_angle_gamma 155.47
loop_
_atom_site_label
_atom_site_fract_x
_atom_site_fract_y
_atom_site_fract_z
B1 0.0197 0.9803 0.9079
B2 0.2273 0.7727 0.5327
B3 0.1345 0.8655 0.6472
B4 0.8655 0.1345 0.1472
B5 0.0197 0.9803 0.5921
B6 0.9803 0.0197 0.4079
B7 0.1345 0.8655 0.8528
B8 0.2273 0.7727 0.9673
B9 0.7727 0.2273 0.0327
B10 0.9563 0.0437 0.7500
B11 0.7727 0.2273 0.4673
B12 0.0437 0.9563 0.2500
B13 0.8655 0.1345 0.3528
B14 0.9803 0.0197 0.0921
Dy1 0.3934 0.6066 0.9399
Dy2 0.2570 0.7430 0.2500
Dy3 0.3934 0.6066 0.5601
Dy4 0.7430 0.2570 0.7500
Dy5 0.6066 0.3934 0.0601
Dy6 0.6066 0.3934 0.4399
Mo1 0.4468 0.5532 0.2500
Mo2 0.5532 0.4468 0.7500

13.
# Na2Dy2B2TeO10, optimized geometry, DFT PBE
# Formation energy from the elements = -48.52 eV/f.u.
data_Na2Dy2B2TeO10
_chemical_formula_sum 'Na4 Dy4 B4 Te2 O20'
_symmetry_space_group_name_H-M 'P 1'
_symmetry_Int_Tables_number 1
_symmetry_space_group_name_Hall 'P 1'
_cell_length_a 10.0599
_cell_length_b 6.3685
_cell_length_c 6.7991
_cell_angle_alpha 75.79
_cell_angle_beta 90.00
_cell_angle_gamma 90.00
loop_
_atom_site_label
_atom_site_fract_x
_atom_site_fract_y
_atom_site_fract_z
B1 0.5997 0.3365 0.6270
B2 0.0997 0.6635 0.8730
B3 0.9003 0.3365 0.1270
B4 0.4003 0.6635 0.3730
O1 0.6162 0.8384 0.8649
O2 0.0608 0.7090 0.6652
O3 0.3838 0.1616 0.1351
O4 0.5608 0.2910 0.8348
O5 0.1162 0.1616 0.6351
O6 0.8497 0.0062 0.6774
O7 0.8272 0.5188 0.0568
O8 0.3497 0.9938 0.8226
O9 0.6728 0.5188 0.5568
O10 0.4392 0.7090 0.1652
O11 0.4383 0.7996 0.4923
O12 0.9383 0.2004 0.0077
O13 0.6503 0.0062 0.1774
O14 0.1728 0.4812 0.9432
O15 0.5617 0.2004 0.5077
O16 0.1503 0.9938 0.3226
O17 0.0617 0.7996 0.9923
O18 0.9392 0.2910 0.3348
O19 0.3272 0.4812 0.4432
O20 0.8838 0.8384 0.3649
Te1 0.0000 0.0000 0.5000
Te2 0.5000 0.0000 0.0000
Na1 0.1111 0.5852 0.3356
Na2 0.8889 0.4148 0.6644
Na3 0.3889 0.5852 0.8356
Na4 0.6111 0.4148 0.1644
Dy1 0.1662 0.1269 0.9765
Dy2 0.6662 0.8731 0.5235
Dy3 0.3338 0.1269 0.4765
Dy4 0.8338 0.8731 0.0235